The following is a DFT calculation (GGA+U) of a relaxed structure of LiMn2F7.

a = 7.5087 Å, b = 5.0958 Å, c = 13.2582 Å
α = 90.00°, β = 98.13°, γ = 90.00°
Closest atoms and distances in Å follow each position.
Space group P2_1 (No. 4)
Inequivalent atoms, fractional coordinates:
Li (0.0996, 0.0000, 0.0718) x2  2 F 1.91-1.94
Li (0.3578, 0.5074, 0.9402) x2  3 F 1.94-2.12
Mn (0.0251, 0.4882, 0.6053) x2  5 F 1.86-2.06
Mn (0.0823, 0.9884, 0.8166) x2  5 F 1.84-2.04
Mn (0.4187, 0.4885, 0.1825) x2  4 F 1.85-1.98
Mn (0.4754, 0.9974, 0.3934) x2  5 F 1.86-2.08
F (0.0011, 0.1885, 0.2600) x2  2 Mn 1.89-2.09
F (0.0425, 0.2878, 0.4723) x2  2 Mn 1.87-2.06
F (0.0620, 0.7973, 0.9495) x2  2 Li 1.91-1.94, 1 Mn 2.04
F (0.0938, 0.1880, 0.6800) x2  1 Mn 1.86
F (0.1528, 0.2967, 0.8833) x2  1 Mn 1.84, 1 Li 1.94
F (0.1593, 0.6280, 0.1898) x2  2 Mn 1.94-2.09
F (0.2338, 0.8874, 0.4030) x2  2 Mn 1.92-2.00
F (0.2822, 0.5993, 0.6180) x2  2 Mn 1.92-2.00
F (0.3239, 0.8393, 0.8346) x2  2 Mn 1.95-2.12
F (0.3280, 0.2840, 0.0719) x2  1 Mn 1.85
F (0.3864, 0.1866, 0.2722) x2  2 Mn 1.91-1.98
F (0.4420, 0.3176, 0.4868) x2  2 Mn 1.86-2.08
F (0.4490, 0.7641, 0.0898) x2  1 Mn 1.90, 1 Li 1.99
F (0.4891, 0.1790, 0.7016) x2  1 Mn 1.87

Results
uncorrected energy = -5.537 eV per atom
formation energy from the elements = -28.31 eV per formula unit
E above lowest polymorph = 19 meV per atom